Below is Li7V3P8O29 after structural relaxation, with properties calculated at the PBE+U level.

The structure in extended XYZ format:
```
94
Lattice="9.8214 0.0000 0.0000 4.8897 8.5590 0.0000 0.2013 0.1092 13.9286" Properties=species:S:1:pos:R:3 pbc="T T T"
Li 2.8165 0.8323 7.8254
Li 4.2866 5.7633 7.8877
Li 4.9746 2.8515 5.3703
Li 4.9554 2.9201 12.3476
Li 5.6416 5.7439 0.8305
Li 7.1279 0.8230 0.9329
Li 7.0512 6.5941 6.1264
Li 7.8770 2.0724 7.8577
Li 7.8129 7.8685 13.0278
Li 9.3177 2.9582 13.0731
Li 9.9493 5.8132 1.5708
Li 10.5388 2.9136 6.0973
Li 10.0192 0.1242 13.9099
Li 14.2322 8.4636 6.7698
V 7.1032 4.8612 3.4887
V 7.8437 3.7972 10.3873
V 4.4590 0.0858 10.4164
V 10.4889 8.5634 3.4885
V 2.2101 3.7563 3.4362
V 12.6861 4.9306 10.5193
P 2.0685 1.9658 11.6986
P 2.7072 0.8021 4.7371
P 4.2780 5.8981 4.8546
P 4.9750 2.8995 1.7621
P 5.0089 2.9677 8.7325
P 5.7110 5.9062 11.7334
P 6.9919 6.6726 9.1542
P 7.3391 0.8976 11.8133
P 7.5765 7.7948 2.1305
P 7.8721 1.9643 4.7728
P 9.2224 2.7668 2.2015
P 9.8759 5.6876 5.1662
P 9.9445 5.7625 12.1632
P 10.6836 2.7862 9.0984
P 12.2947 7.9235 9.2377
P 12.8579 6.6815 2.2340
O 11.0696 2.0639 7.8246
O 2.0329 2.1910 4.7345
O 7.0727 8.4567 0.8801
O 3.0361 0.7751 11.7172
O 2.9364 3.2596 11.5974
O 3.5578 2.9380 2.4508
O 3.6080 4.5096 4.6768
O 4.0350 6.7040 1.1178
O 4.2023 5.7002 11.7473
O 4.2314 1.7115 9.2090
O 4.2291 1.0034 4.6111
O 4.3438 4.2436 9.3744
O 4.9139 3.0693 0.2746
O 4.9937 3.0982 7.2271
O 5.7274 4.1558 2.3654
O 5.8173 1.0457 11.6681
O 5.7075 1.6168 2.2038
O 5.8137 5.7178 4.7590
O 6.0500 6.8281 10.4461
O 6.1274 6.5638 7.9187
O 6.2105 6.6660 12.9470
O 6.3841 4.5237 11.5396
O 6.5097 2.8808 9.2275
O 6.9440 6.3818 2.2353
O 6.9879 3.2382 4.6205
O 7.0012 0.7323 4.7352
O 2.1517 0.0417 3.4304
O 7.1864 8.5643 5.9619
O 8.0282 0.1724 8.1272
O 7.9055 7.8883 9.1178
O 7.8039 5.3662 9.3966
O 7.9539 2.3325 11.6090
O 8.3811 5.6777 4.5518
O 8.5438 4.1590 2.3486
O 8.7299 2.0135 0.9864
O 8.7560 2.0050 6.0129
O 8.8641 1.8944 3.5039
O 9.1415 2.9684 9.1450
O 9.2258 7.0441 11.6921
O 9.1067 7.6546 2.2694
O 9.2507 4.4832 11.5991
O 10.0232 5.6528 13.6600
O 9.7388 5.5279 6.6405
O 10.6111 4.4158 4.5483
O 10.7708 7.9533 9.2722
O 10.5590 6.9213 4.5885
O 10.7343 2.9565 2.2045
O 1.2308 1.8130 10.3187
O 10.9015 1.9133 12.8261
O 11.4114 4.1144 9.3011
O 11.3910 5.7578 11.5077
O 11.9825 5.3902 2.3438
O 11.9090 7.8809 2.1792
O 7.8621 0.3457 13.1068
O 12.8285 8.5675 10.6341
O 12.8496 6.4857 9.2435
O 3.9462 6.6190 6.1322
O 13.6612 6.8279 3.6325
```

Properties
The total energy comes out at -6.9910 eV per atom. Its energy above the most stable polymorph in this dataset is 36 kJ/mol of formula units.


Below is Li5V3P8O29 after structural relaxation, with properties calculated at the PBE+U level.

The structure in extended XYZ format:
```
90
Lattice="-9.7310 0.0000 0.0000 4.8244 8.4906 0.0000 -0.0259 -0.2009 -14.1308" Properties=species:S:1:pos:R:3 pbc="T T T"
Li 0.6586 2.8337 -0.8872
Li -0.7295 2.8083 -7.9223
Li 2.7303 6.4248 -7.8775
Li 2.0256 7.6467 -0.8272
Li -2.7631 6.4716 -0.8039
Li -2.1244 7.5970 -7.9307
Li -4.2251 5.6224 -6.1989
Li -5.5966 5.4865 -13.2677
Li -0.0391 0.1978 -14.0630
Li -0.1516 0.3116 -7.0216
V -4.2418 -0.0429 -3.5785
V -5.4745 -0.1266 -10.6432
V -2.1701 3.5149 -10.6307
V -2.7580 4.7301 -3.5081
V -7.6438 3.6068 -3.5259
V 2.6783 4.6313 -10.5263
P 0.6363 2.4926 -11.9362
P -0.7106 2.6001 -4.8594
P 2.8872 6.5216 -4.8003
P -0.0141 5.6474 -1.8429
P -0.0935 5.5404 -8.9192
P 2.2189 7.5790 -11.9243
P -2.5508 0.5637 -9.3459
P -2.9704 6.4220 -11.8700
P -1.9184 1.8125 -2.2825
P -2.3109 7.6970 -4.8855
P -7.1880 0.6468 -2.2769
P -4.9049 2.7767 -5.1826
P -4.9067 2.6987 -12.2675
P -7.8848 1.7065 -9.3483
P -4.2255 5.6709 -9.2765
P -5.5755 5.7731 -2.2289
O 0.8509 1.6696 -8.2305
O 0.7913 2.8696 -4.6452
O -0.9212 1.6865 -1.1737
O -0.8929 2.7413 -11.7146
O 1.3975 3.8018 -11.7541
O 0.6453 4.3190 -2.3327
O 2.1383 5.2092 -4.6517
O -6.0086 6.5049 -0.9807
O 2.7970 6.1362 -11.7387
O -0.7435 4.2312 -9.5265
O -1.4909 3.9178 -4.6601
O 1.3926 5.6156 -9.4309
O 0.0202 5.7969 -0.3540
O -0.1544 5.4850 -7.4268
O 0.7686 6.8564 -2.5108
O -2.2102 5.0718 -11.6644
O -1.4831 5.7094 -2.3978
O 1.9257 7.7394 -4.7226
O -1.9606 -0.0316 -10.7400
O 2.9230 8.3149 -8.2114
O 2.6897 8.1236 -13.2389
O 0.6957 7.5357 -11.7308
O -0.8658 6.7734 -9.5027
O -2.9316 0.6254 -2.2533
O -0.7670 7.6920 -4.6439
O -2.8711 6.2574 -4.7566
O -1.1345 1.5944 -3.6868
O -0.9621 1.9257 -6.1725
O -3.7620 6.3978 -8.0402
O -2.0829 2.0545 -9.3300
O -4.0780 0.4834 -9.4258
O -2.0091 7.5880 -11.8509
O -4.1494 1.5283 -4.4934
O -5.6429 0.5929 -2.4318
O -2.9313 8.3565 -1.1335
O -2.7281 8.2943 -6.1900
O -7.7702 0.0394 -3.6705
O -6.8637 0.5701 -9.3038
O -3.4628 2.6636 -11.5756
O -2.6515 3.1517 -2.3829
O -5.6057 1.4476 -11.6177
O -4.8022 2.7011 -13.7439
O -4.8345 2.7257 -6.6642
O -6.3122 2.7096 -4.5577
O -3.4786 4.3389 -9.5011
O -4.2167 4.0760 -4.6146
O -7.6943 2.1070 -2.2362
O -8.6756 1.4968 -10.7491
O 0.8387 1.7912 -13.2381
O -7.1552 3.0821 -9.4875
O -5.5909 3.9790 -11.7057
O -6.3280 4.4514 -2.4335
O -4.0437 5.5410 -2.2294
O -3.8226 6.3666 -13.1175
O -3.9444 6.5806 -10.5811
O -5.7562 5.4557 -9.2422
O 3.7382 6.5984 -6.0541
O -5.8629 6.7036 -3.5195
```

Properties
The total energy comes out at -7.0331 eV per atom. Its energy above the most stable polymorph in this dataset is 1 kJ/mol of formula units.


Below is Li5V3P8O29 after structural relaxation, with properties calculated at the PBE+U level.

The structure in extended XYZ format:
```
90
Lattice="-6.4270 7.3658 0.1311 -7.9823 -0.6012 5.6333 6.9795 5.9137 10.5467" Properties=species:S:1:pos:R:3 pbc="T T T"
Li -6.4604 1.6366 4.4609
Li -2.0435 3.6497 9.6777
Li -2.2392 8.0818 7.3147
Li -4.6840 5.2843 1.2520
Li -2.0142 0.9123 1.9232
Li 1.6127 4.9728 6.4944
Li -5.4415 11.7415 14.3595
Li -2.7501 7.3775 15.0249
Li -1.0107 11.0422 11.8047
Li 3.4600 2.9856 5.2852
V -9.8730 5.0711 8.3629
V 2.4389 7.6095 7.9446
V -5.7348 11.4471 11.2175
V -8.0978 8.5936 5.2743
V -5.5478 4.3811 5.9400
V -1.8798 8.3407 10.4013
P -1.0445 6.2954 12.7503
P -3.6551 2.2538 7.4911
P -3.8266 6.9519 4.9771
P -3.9085 3.0132 3.3086
P -0.4338 5.9532 8.5242
P 0.8164 9.9439 9.4669
P -7.6981 9.0436 12.1951
P 3.4621 5.4836 10.2140
P -10.8969 7.1943 6.1102
P 0.2441 3.6426 4.1380
P -8.2110 2.7408 6.8557
P -7.0230 6.7221 7.7745
P -3.5227 9.6645 13.0399
P -3.5824 5.7102 11.3356
P -3.7678 10.4469 8.8030
P -6.3882 6.4170 3.5677
O -3.5919 4.4544 10.5321
O -4.5781 3.4767 7.2385
O -5.5583 -0.0183 4.9573
O 0.0352 5.1970 12.6249
O -0.8677 7.3709 11.6583
O -4.8113 3.1706 4.6078
O -4.1639 5.5868 5.6592
O -6.3271 5.8431 2.1790
O -0.4053 9.7132 10.3845
O -0.4699 5.0518 9.8189
O -2.5005 2.2765 6.4470
O -1.0469 7.3558 8.9056
O -4.6626 2.3160 2.2264
O -1.1851 5.3159 7.3999
O -3.4467 4.4481 2.8793
O 2.0612 5.3518 10.8461
O -2.6304 2.1719 3.7310
O -2.5880 6.7535 4.0836
O -7.7598 9.7437 13.6692
O -1.0973 9.2061 6.2083
O 1.6730 11.0811 9.9593
O 1.6248 8.6410 9.2925
O 1.0796 6.1884 8.1441
O -11.0216 5.8844 6.9131
O -0.8682 4.6818 4.0391
O -0.2783 2.4054 4.9469
O -11.0121 8.3625 7.2356
O -3.1933 2.2002 8.9038
O 2.3360 3.3251 7.2382
O -7.2317 10.2128 11.2720
O -6.6065 7.9733 12.2748
O 3.5790 6.7823 9.3837
O -8.4854 6.3989 8.1125
O -9.0563 4.0154 7.0306
O -9.0356 1.5753 6.3887
O 1.5439 4.0984 4.6910
O -7.5354 2.4154 8.2840
O -4.8949 5.8447 12.1704
O -4.8149 10.5005 12.6763
O -9.4979 7.3424 5.4813
O -3.9818 8.1990 13.4179
O -2.7736 10.2992 14.1677
O -6.1857 7.3510 8.8081
O -6.3701 5.3517 7.2441
O -4.9265 10.3984 9.8022
O -7.0857 7.6247 6.4469
O -7.0019 3.0021 5.9177
O -2.4397 5.5563 12.4892
O -1.0780 6.8890 14.1327
O -3.2849 7.0225 10.6070
O -2.6249 9.5760 11.7409
O -6.5456 5.3172 4.6378
O -7.4980 7.4859 3.7048
O 4.5578 5.3834 11.2420
O -2.7841 11.6508 9.3009
O -2.8715 9.1792 8.9642
O -3.6825 8.0797 5.9295
O -5.0246 7.2088 3.9161
```

Properties
The total energy comes out at -7.0326 eV per atom. Its energy above the most stable polymorph in this dataset is 4 kJ/mol of formula units.


| no. | calculated density (g/cm3) |
| --- | --- |
| 1 | 2.59 |
| 2 | 2.56 |
| 3 | 2.58 |